This record from the Materials Project database describes crystalline MgFeP2O7 at its relaxed geometry. The functional is PBE+U.

```
MgFeP2O7
1.0
5.5763 -0.1090 0.2566
-1.4371 12.1825 1.4368
0.0835 -0.0098 7.4161
P O Fe Mg
8 28 4 4
direct
0.0315 0.8414 0.0937
0.1758 0.4003 0.3865
0.8241 0.5998 0.6132
0.6760 0.9002 0.3868
0.5310 0.3413 0.0936
0.3242 0.0997 0.6136
0.9689 0.1586 0.9065
0.4687 0.6587 0.9062
0.9352 0.3239 0.4314
0.7326 0.4321 0.1179
0.8470 0.8897 0.5418
0.6531 0.6103 0.4581
0.1431 0.5205 0.3297
0.0821 0.7257 0.1709
0.3471 0.3895 0.5413
0.4355 0.8238 0.4315
0.5648 0.1761 0.5687
0.8568 0.4796 0.6702
0.2672 0.5678 0.8821
0.5444 0.6559 0.1025
0.7873 0.8591 0.2070
0.6431 0.0204 0.3299
0.9182 0.2742 0.8290
0.4557 0.3440 0.8973
0.2330 0.9322 0.1178
0.9556 0.8440 0.8975
0.0646 0.6762 0.5684
0.3568 0.9795 0.6704
0.0442 0.1559 0.1028
0.1528 0.1105 0.4587
0.2865 0.3592 0.2064
0.7128 0.6410 0.7929
0.5816 0.2258 0.1711
0.2134 0.1408 0.7936
0.7674 0.0679 0.8821
0.4179 0.7743 0.8291
0.6630 0.9209 0.8004
0.8371 0.5792 0.1995
0.3369 0.0792 0.2003
0.1630 0.4208 0.7997
0.6590 0.3284 0.6517
0.1588 0.8283 0.6519
0.8409 0.1716 0.3484
0.3412 0.6716 0.3481
```

## Properties
The total magnetization comes out at 0.0000 μB/atom. Its energy above the most stable polymorph in this dataset is 0 meV per atom. The value obtained for the energy of formation from the pure elements is -2.68 eV per atom.